[1]
Density functional theory data (GGA-PBE) for crystalline Li2NdGe at its relaxed geometry.

Unit cell a=4.360 b=4.360 c=9.495 alpha=90.00 beta=90.00 gamma=120.00
Sites, in units of the cell vectors:
Li 0.333 0.667 0.065
Li 0.333 0.667 0.435
Li 0.667 0.333 0.565
Li 0.667 0.333 0.935
Nd 0.333 0.667 0.750
Nd 0.667 0.333 0.250
Ge 0.000 0.000 0.000
Ge 0.000 0.000 0.500

Calculated values
- theoretical density (Mg/m³) = 4.90
- total DFT energy (no corrections) (eV/atom) = -3.65
- space group = No. 194
- M_tot (μB/atom) = 0.223
- energy of formation from the pure elements (eV per atom) = -0.349

[2]
Density functional theory data (GGA-PBE) for crystalline LiNi6Ge6 at its relaxed geometry.

Unit cell a=8.754 b=8.754 c=7.840 alpha=90.00 beta=90.00 gamma=120.00
Sites, in units of the cell vectors:
Li 0.000 0.000 0.000
Li 0.333 0.667 0.500
Li 0.667 0.333 0.500
Ni 0.000 0.500 0.240
Ni 0.000 0.500 0.760
Ni 0.167 0.334 0.255
Ni 0.167 0.334 0.745
Ni 0.167 0.833 0.255
Ni 0.167 0.833 0.745
Ni 0.334 0.167 0.255
Ni 0.334 0.167 0.745
Ni 0.500 0.000 0.240
Ni 0.500 0.000 0.760
Ni 0.500 0.500 0.240
Ni 0.500 0.500 0.760
Ni 0.666 0.833 0.255
Ni 0.666 0.833 0.745
Ni 0.833 0.167 0.255
Ni 0.833 0.167 0.745
Ni 0.833 0.666 0.255
Ni 0.833 0.666 0.745
Ge 0.000 0.000 0.339
Ge 0.000 0.000 0.661
Ge 0.000 0.325 0.000
Ge 0.000 0.341 0.500
Ge 0.000 0.659 0.500
Ge 0.000 0.675 0.000
Ge 0.325 0.000 0.000
Ge 0.325 0.325 0.000
Ge 0.333 0.667 0.162
Ge 0.333 0.667 0.838
Ge 0.341 0.000 0.500
Ge 0.341 0.341 0.500
Ge 0.659 0.000 0.500
Ge 0.659 0.659 0.500
Ge 0.667 0.333 0.162
Ge 0.667 0.333 0.838
Ge 0.675 0.000 0.000
Ge 0.675 0.675 0.000

Calculated values
- theoretical density (Mg/m³) = 7.61
- total DFT energy (no corrections) (eV/atom) = -5.27
- space group = No. 191
- energy of formation from the pure elements (eV per atom) = -0.319

[3]
Density functional theory data (GGA-PBE) for crystalline LiGeO3 at its relaxed geometry.

Unit cell a=3.727 b=3.727 c=3.727 alpha=90.00 beta=90.00 gamma=90.00
Sites, in units of the cell vectors:
Li 0.000 0.000 0.000
Ge 0.500 0.500 0.500
O 0.000 0.500 0.500
O 0.500 0.000 0.500
O 0.500 0.500 0.000

Calculated values
- theoretical density (Mg/m³) = 4.09
- total DFT energy (no corrections) (eV/atom) = -5.53
- corrected total energy (MP2020 scheme) (eV per cell) = -29.7
- space group = No. 221
- M_tot (μB/atom) = 0.013
- energy of formation from the pure elements (eV per atom) = -1.668

[4]
Density functional theory data (GGA-PBE) for crystalline Li2Ge7O15 at its relaxed geometry.

Unit cell a=7.467 b=17.043 c=9.884 alpha=90.00 beta=90.00 gamma=90.00
Sites, in units of the cell vectors:
Li 0.000 0.000 0.000
Li 0.000 0.000 0.500
Li 0.000 0.260 0.250
Li 0.000 0.740 0.750
Li 0.500 0.240 0.750
Li 0.500 0.500 0.000
Li 0.500 0.500 0.500
Li 0.500 0.760 0.250
Ge 0.000 0.087 0.250
Ge 0.000 0.913 0.750
Ge 0.214 0.344 0.528
Ge 0.214 0.441 0.251
Ge 0.214 0.559 0.751
Ge 0.214 0.656 0.028
Ge 0.217 0.340 0.968
Ge 0.217 0.660 0.468
Ge 0.283 0.160 0.468
Ge 0.283 0.840 0.968
Ge 0.286 0.059 0.751
Ge 0.286 0.156 0.028
Ge 0.286 0.844 0.528
Ge 0.286 0.941 0.251
Ge 0.500 0.413 0.750
Ge 0.500 0.587 0.250
Ge 0.714 0.059 0.749
Ge 0.714 0.156 0.472
Ge 0.714 0.844 0.972
Ge 0.714 0.941 0.249
Ge 0.717 0.160 0.032
Ge 0.717 0.840 0.532
Ge 0.783 0.340 0.532
Ge 0.783 0.660 0.032
Ge 0.786 0.344 0.972
Ge 0.786 0.441 0.249
Ge 0.786 0.559 0.749
Ge 0.786 0.656 0.472
O 0.000 0.484 0.250
O 0.000 0.516 0.750
O 0.001 0.359 0.904
O 0.001 0.641 0.404
O 0.139 0.169 0.330
O 0.139 0.831 0.830
O 0.142 0.007 0.332
O 0.142 0.993 0.832
O 0.145 0.083 0.091
O 0.145 0.917 0.591
O 0.190 0.351 0.347
O 0.190 0.649 0.847
O 0.200 0.251 0.064
O 0.200 0.749 0.564
O 0.208 0.089 0.588
O 0.208 0.911 0.088
O 0.292 0.411 0.088
O 0.292 0.589 0.588
O 0.300 0.249 0.564
O 0.300 0.751 0.064
O 0.310 0.149 0.847
O 0.310 0.851 0.347
O 0.355 0.417 0.591
O 0.355 0.583 0.091
O 0.358 0.493 0.832
O 0.358 0.507 0.332
O 0.361 0.331 0.830
O 0.361 0.669 0.330
O 0.499 0.141 0.404
O 0.499 0.859 0.904
O 0.500 0.016 0.750
O 0.500 0.984 0.250
O 0.501 0.141 0.096
O 0.501 0.859 0.596
O 0.639 0.331 0.670
O 0.639 0.669 0.170
O 0.642 0.493 0.668
O 0.642 0.507 0.168
O 0.645 0.417 0.909
O 0.645 0.583 0.409
O 0.690 0.149 0.653
O 0.690 0.851 0.153
O 0.700 0.249 0.936
O 0.700 0.751 0.436
O 0.708 0.411 0.412
O 0.708 0.589 0.912
O 0.792 0.089 0.912
O 0.792 0.911 0.412
O 0.800 0.251 0.436
O 0.800 0.749 0.936
O 0.810 0.351 0.153
O 0.810 0.649 0.653
O 0.855 0.083 0.409
O 0.855 0.917 0.909
O 0.858 0.007 0.168
O 0.858 0.993 0.668
O 0.861 0.169 0.170
O 0.861 0.831 0.670
O 0.999 0.359 0.596
O 0.999 0.641 0.096

Calculated values
- theoretical density (Mg/m³) = 4.03
- total DFT energy (no corrections) (eV/atom) = -6.32
- corrected total energy (MP2020 scheme) (eV per cell) = -647.8
- space group = No. 60
- energy of formation from the pure elements (eV per atom) = -2.148

[5]
Density functional theory data (GGA-PBE) for crystalline Li2Ge7O15 at its relaxed geometry.

Unit cell a=17.161 b=7.481 c=9.787 alpha=90.00 beta=90.00 gamma=90.00
Sites, in units of the cell vectors:
Li 0.007 0.235 0.000
Li 0.244 0.741 0.244
Li 0.256 0.741 0.744
Li 0.493 0.235 0.500
Li 0.507 0.765 0.000
Li 0.744 0.259 0.244
Li 0.756 0.259 0.744
Li 0.993 0.765 0.500
Ge 0.087 0.041 0.718
Ge 0.091 0.465 0.283
Ge 0.092 0.468 0.721
Ge 0.095 0.037 0.278
Ge 0.163 0.750 0.500
Ge 0.191 0.040 0.003
Ge 0.193 0.463 0.001
Ge 0.307 0.463 0.501
Ge 0.309 0.040 0.503
Ge 0.337 0.750 0.000
Ge 0.405 0.037 0.778
Ge 0.408 0.468 0.221
Ge 0.409 0.465 0.783
Ge 0.413 0.041 0.218
Ge 0.587 0.959 0.718
Ge 0.591 0.535 0.283
Ge 0.592 0.532 0.721
Ge 0.595 0.963 0.278
Ge 0.663 0.250 0.500
Ge 0.691 0.960 0.003
Ge 0.693 0.537 0.001
Ge 0.807 0.537 0.501
Ge 0.809 0.960 0.503
Ge 0.837 0.250 0.000
Ge 0.905 0.963 0.778
Ge 0.908 0.532 0.221
Ge 0.909 0.535 0.783
Ge 0.913 0.959 0.218
O 0.000 0.429 0.196
O 0.000 0.571 0.696
O 0.001 0.033 0.822
O 0.080 0.609 0.423
O 0.083 0.894 0.579
O 0.089 0.256 0.644
O 0.099 0.050 0.094
O 0.106 0.426 0.900
O 0.118 0.251 0.341
O 0.158 0.551 0.159
O 0.165 0.889 0.338
O 0.165 0.989 0.831
O 0.166 0.608 0.662
O 0.235 0.251 0.025
O 0.241 0.601 0.418
O 0.245 0.888 0.577
O 0.255 0.888 0.077
O 0.259 0.601 0.918
O 0.265 0.251 0.525
O 0.334 0.608 0.162
O 0.335 0.889 0.838
O 0.335 0.989 0.331
O 0.342 0.551 0.659
O 0.382 0.251 0.841
O 0.394 0.426 0.400
O 0.401 0.050 0.594
O 0.411 0.256 0.144
O 0.417 0.894 0.079
O 0.420 0.609 0.923
O 0.499 0.033 0.322
O 0.500 0.429 0.696
O 0.500 0.571 0.196
O 0.501 0.967 0.822
O 0.580 0.391 0.423
O 0.583 0.106 0.579
O 0.589 0.744 0.644
O 0.599 0.950 0.094
O 0.606 0.574 0.900
O 0.618 0.749 0.341
O 0.658 0.449 0.159
O 0.665 0.011 0.831
O 0.665 0.111 0.338
O 0.666 0.392 0.662
O 0.735 0.749 0.025
O 0.741 0.399 0.418
O 0.745 0.112 0.577
O 0.755 0.112 0.077
O 0.759 0.399 0.918
O 0.765 0.749 0.525
O 0.834 0.392 0.162
O 0.835 0.011 0.331
O 0.835 0.111 0.838
O 0.842 0.449 0.659
O 0.882 0.749 0.841
O 0.894 0.574 0.400
O 0.901 0.950 0.594
O 0.911 0.744 0.144
O 0.917 0.106 0.079
O 0.920 0.391 0.923
O 0.999 0.967 0.322

Calculated values
- theoretical density (Mg/m³) = 4.03
- total DFT energy (no corrections) (eV/atom) = -6.32
- corrected total energy (MP2020 scheme) (eV per cell) = -647.7
- space group = No. 29
- M_tot (μB/atom) = 0.001
- energy of formation from the pure elements (eV per atom) = -2.147

> Among the records above, which one has the highest total DFT energy (no corrections)?

Li2NdGe

> Which of these has the highest total DFT energy (no corrections)?

Li2NdGe

> energy of formation from the pure elements of number 2 (LiNi6Ge6)?

-0.319 eV per atom

Copy entry 3 word for word.
Density functional theory data (GGA-PBE) for crystalline LiGeO3 at its relaxed geometry.

Unit cell a=3.727 b=3.727 c=3.727 alpha=90.00 beta=90.00 gamma=90.00
Sites, in units of the cell vectors:
Li 0.000 0.000 0.000
Ge 0.500 0.500 0.500
O 0.000 0.500 0.500
O 0.500 0.000 0.500
O 0.500 0.500 0.000

Calculated values
- theoretical density (Mg/m³) = 4.09
- total DFT energy (no corrections) (eV/atom) = -5.53
- corrected total energy (MP2020 scheme) (eV per cell) = -29.7
- space group = No. 221
- M_tot (μB/atom) = 0.013
- energy of formation from the pure elements (eV per atom) = -1.668